No. 1
The following is a DFT calculation (PBE+U) of a relaxed Na3Sr4Cr5F26 crystal.

Total moment, μB/f.u.: 15.00
Energy of formation from the pure elements, meV per atom: -3425
V, Å³ per cell: 2144.50
Final energy, eV per atom: -5.708
Space group: P1, No. 1

Cell lengths 7.588, 10.848, 28.079 Å; angles 86.05, 82.20, 69.51 degrees
Atoms (fractional coordinates):
Na (0.889, 0.374, 0.374)
Na (0.996, 0.752, 0.751)
Na (0.248, 0.505, 0.502)
Na (0.130, 0.127, 0.127)
Na (0.121, 0.627, 0.626)
Na (0.869, 0.871, 0.874)
Na (0.499, 0.750, 0.749)
Na (0.756, 0.993, 0.997)
Na (0.497, 0.249, 0.251)
Na (0.251, 0.002, 0.003)
Na (0.755, 0.497, 0.499)
Na (0.007, 0.250, 0.250)
Sr (0.984, 0.365, 0.746)
Sr (0.014, 0.636, 0.254)
Sr (0.402, 0.862, 0.246)
Sr (0.579, 0.240, 0.593)
Sr (0.597, 0.137, 0.753)
Sr (0.295, 0.473, 0.850)
Sr (0.683, 0.634, 0.994)
Sr (0.122, 0.025, 0.650)
Sr (0.186, 0.135, 0.493)
Sr (0.813, 0.867, 0.506)
Sr (0.703, 0.526, 0.151)
Sr (0.090, 0.739, 0.093)
Sr (0.914, 0.257, 0.907)
Sr (0.880, 0.974, 0.350)
Sr (0.313, 0.365, 0.006)
Sr (0.419, 0.762, 0.407)
Cr (0.402, 0.467, 0.720)
Cr (0.637, 0.612, 0.613)
Cr (0.597, 0.532, 0.280)
Cr (0.070, 0.331, 0.601)
Cr (0.129, 0.699, 0.966)
Cr (0.710, 0.913, 0.657)
Cr (0.707, 0.200, 0.466)
Cr (0.639, 0.112, 0.112)
Cr (0.505, 0.167, 0.899)
Cr (0.498, 0.832, 0.100)
Cr (0.869, 0.302, 0.035)
Cr (0.219, 0.413, 0.157)
Cr (0.361, 0.887, 0.887)
Cr (0.365, 0.388, 0.387)
Cr (0.906, 0.967, 0.221)
Cr (0.778, 0.587, 0.843)
Cr (0.930, 0.668, 0.400)
Cr (0.291, 0.088, 0.343)
Cr (0.093, 0.032, 0.779)
Cr (0.296, 0.802, 0.534)
F (0.675, 0.394, 0.232)
F (0.397, 0.527, 0.418)
F (0.939, 0.140, 0.732)
F (0.759, 0.729, 0.108)
F (0.985, 0.422, 0.834)
F (0.972, 0.669, 0.841)
F (0.236, 0.926, 0.090)
F (0.856, 0.462, 0.297)
F (0.309, 0.359, 0.768)
F (0.531, 0.111, 0.488)
F (0.393, 0.738, 0.597)
F (0.221, 0.765, 0.902)
F (0.771, 0.548, 0.911)
F (0.766, 0.073, 0.909)
F (0.267, 0.050, 0.411)
F (0.023, 0.332, 0.160)
F (0.721, 0.883, 0.242)
F (0.420, 0.239, 0.151)
F (0.122, 0.509, 0.369)
F (0.095, 0.772, 0.392)
F (0.722, 0.824, 0.423)
F (0.249, 0.423, 0.592)
F (0.024, 0.624, 0.022)
F (0.324, 0.605, 0.768)
F (0.562, 0.226, 0.834)
F (0.349, 0.614, 0.259)
F (0.243, 0.268, 0.892)
F (0.025, 0.368, 0.535)
F (0.842, 0.973, 0.082)
F (0.396, 0.502, 0.158)
F (0.521, 0.163, 0.056)
F (0.227, 0.452, 0.089)
F (0.169, 0.539, 0.932)
F (0.318, 0.260, 0.347)
F (0.156, 0.027, 0.917)
F (0.125, 0.216, 0.051)
F (0.474, 0.889, 0.513)
F (0.144, 0.541, 0.703)
F (0.760, 0.662, 0.556)
F (0.751, 0.575, 0.410)
F (0.018, 0.171, 0.339)
F (0.610, 0.264, 0.402)
F (0.795, 0.610, 0.772)
F (0.203, 0.390, 0.227)
F (0.682, 0.741, 0.652)
F (0.897, 0.282, 0.449)
F (0.732, 0.953, 0.589)
F (0.827, 0.464, 0.067)
F (0.498, 0.992, 0.131)
F (0.744, 0.078, 0.666)
F (0.878, 0.491, 0.632)
F (0.980, 0.627, 0.466)
F (0.106, 0.719, 0.551)
F (0.171, 0.878, 0.478)
F (0.978, 0.376, 0.979)
F (0.505, 0.006, 0.869)
F (0.601, 0.474, 0.583)
F (0.251, 0.917, 0.825)
F (0.522, 0.678, 0.322)
F (0.144, 0.963, 0.567)
F (0.891, 0.959, 0.797)
F (0.575, 0.759, 0.848)
F (0.554, 0.348, 0.505)
F (0.557, 0.000, 0.342)
F (0.372, 0.611, 0.987)
F (0.749, 0.084, 0.175)
F (0.058, 0.861, 0.269)
F (0.099, 0.847, 0.005)
F (0.447, 0.653, 0.495)
F (0.905, 0.228, 0.608)
F (0.279, 0.174, 0.579)
F (0.871, 0.784, 0.950)
F (0.014, 0.579, 0.166)
F (0.834, 0.125, 0.521)
F (0.474, 0.322, 0.678)
F (0.983, 0.829, 0.660)
F (0.325, 0.106, 0.272)
F (0.256, 0.923, 0.334)
F (0.900, 0.154, 0.996)
F (0.438, 0.771, 0.165)
F (0.026, 0.822, 0.178)
F (0.121, 0.271, 0.666)
F (0.777, 0.235, 0.098)
F (0.877, 0.728, 0.335)
F (0.649, 0.387, 0.742)
F (0.572, 0.871, 0.034)
F (0.534, 0.324, 0.920)
F (0.510, 0.415, 0.325)
F (0.109, 0.039, 0.203)
F (0.624, 0.390, 0.014)
F (0.280, 0.113, 0.757)
F (0.242, 0.335, 0.443)
F (0.474, 0.838, 0.945)
F (0.431, 0.130, 0.965)
F (0.444, 0.002, 0.658)
F (0.974, 0.178, 0.822)
F (0.796, 0.105, 0.268)
F (0.598, 0.502, 0.841)
F (0.679, 0.892, 0.728)
F (0.468, 0.676, 0.078)
F (0.488, 0.583, 0.674)
F (0.691, 0.638, 0.231)
F (0.203, 0.893, 0.732)
F (0.861, 0.039, 0.433)

No. 2
The following is a DFT calculation (PBE+U) of a relaxed Na2TlCrF6 crystal.

Total moment, μB/f.u.: 3.00
Energy of formation from the pure elements, meV per atom: -2663
V, Å³ per cell: 181.66
Final energy, eV per atom: -4.801
Space group: Fm-3m, No. 225

Cell lengths 6.357, 6.357, 6.357 Å; angles 60.00, 60.00, 60.00 degrees
Atoms (fractional coordinates):
Na (0.250, 0.250, 0.250)
Na (0.750, 0.750, 0.750)
Tl (0.500, 0.500, 0.500)
Cr (0.000, 0.000, 0.000)
F (0.214, 0.786, 0.214)
F (0.786, 0.786, 0.214)
F (0.786, 0.214, 0.786)
F (0.786, 0.214, 0.214)
F (0.214, 0.786, 0.786)
F (0.214, 0.214, 0.786)

No. 3
The following is a DFT calculation (PBE+U) of a relaxed CrNiF6 crystal.

Energy of formation from the pure elements, meV per atom: -2534
V, Å³ per cell: 101.70
Final energy, eV per atom: -4.985
Space group: R-3, No. 148

Cell lengths 5.378, 5.378, 5.378 Å; angles 56.73, 56.73, 56.73 degrees
Atoms (fractional coordinates):
Cr (0.500, 0.500, 0.500)
Ni (0.000, 0.000, 0.000)
F (0.848, 0.629, 0.262)
F (0.629, 0.262, 0.848)
F (0.262, 0.848, 0.629)
F (0.738, 0.152, 0.371)
F (0.371, 0.738, 0.152)
F (0.152, 0.371, 0.738)

No. 4
The following is a DFT calculation (PBE+U) of a relaxed Cr4OF11 crystal.

Total moment, μB/f.u.: 11.00
Energy of formation from the pure elements, meV per atom: -2878
V, Å³ per cell: 397.86
Final energy, eV per atom: -6.056
ΔE to the lowest computed polymorph, eV/atom: 0.0027
Space group: C2, No. 5

Cell lengths 5.348, 5.348, 17.140 Å; angles 78.61, 78.61, 56.40 degrees
Atoms (fractional coordinates):
Cr (0.615, 0.268, 0.692)
Cr (0.147, 0.740, 0.190)
Cr (0.732, 0.385, 0.308)
Cr (0.260, 0.853, 0.810)
Cr (0.882, 0.496, 0.937)
Cr (0.372, 0.007, 0.437)
Cr (0.504, 0.118, 0.063)
Cr (0.993, 0.628, 0.563)
O (0.472, 0.471, 0.781)
O (0.529, 0.528, 0.219)
F (0.774, 0.034, 0.598)
F (0.561, 0.944, 0.751)
F (0.194, 0.059, 0.127)
F (0.688, 0.563, 0.624)
F (0.970, 0.970, 0.282)
F (0.286, 0.277, 0.970)
F (0.966, 0.226, 0.402)
F (0.475, 0.719, 0.905)
F (0.281, 0.525, 0.095)
F (0.218, 0.469, 0.657)
F (0.056, 0.439, 0.249)
F (0.941, 0.806, 0.873)
F (0.779, 0.790, 0.469)
F (0.030, 0.030, 0.718)
F (0.723, 0.714, 0.030)
F (0.531, 0.782, 0.343)
F (0.736, 0.961, 0.156)
F (0.039, 0.264, 0.844)
F (0.306, 0.694, 0.500)
F (0.810, 0.190, 0.000)
F (0.437, 0.312, 0.376)
F (0.210, 0.221, 0.531)

No. 5
The following is a DFT calculation (PBE+U) of a relaxed Cr4OF11 crystal.

Total moment, μB/f.u.: 11.00
Energy of formation from the pure elements, meV per atom: -2880
Piezoelectric modulus e_max, C/m2: 0.1
V, Å³ per cell: 199.01
Final energy, eV per atom: -6.059
ΔE to the lowest computed polymorph, eV/atom: 0.0000
Space group: C2, No. 5

Cell lengths 5.099, 5.328, 8.744 Å; angles 74.74, 90.00, 61.41 degrees
Atoms (fractional coordinates):
Cr (0.745, 0.513, 0.257)
Cr (0.509, 0.987, 0.493)
Cr (0.250, 0.497, 0.749)
Cr (0.997, 0.003, 0.001)
O (0.749, 0.750, 0.375)
F (0.813, 0.751, 0.684)
F (0.814, 0.749, 0.066)
F (0.755, 0.255, 0.128)
F (0.685, 0.249, 0.814)
F (0.682, 0.251, 0.435)
F (0.313, 0.750, 0.563)
F (0.312, 0.750, 0.187)
F (0.247, 0.750, 0.875)
F (0.260, 0.245, 0.622)
F (0.183, 0.249, 0.315)
F (0.185, 0.251, 0.936)

No. 6
The following is a DFT calculation (PBE+U) of a relaxed CrOF4 crystal.

Total moment, μB/f.u.: 0.00
Energy of formation from the pure elements, meV per atom: -2063
V, Å³ per cell: 755.44
Final energy, eV per atom: -5.017
ΔE to the lowest computed polymorph, eV/atom: 0.0027
Space group: P2_1/c, No. 14

Cell lengths 16.888, 5.548, 8.063 Å; angles 89.14, 90.00, 90.00 degrees
Atoms (fractional coordinates):
Cr (0.142, 0.731, 0.991)
Cr (0.611, 0.749, 0.908)
Cr (0.358, 0.731, 0.491)
Cr (0.889, 0.749, 0.408)
Cr (0.111, 0.251, 0.592)
Cr (0.642, 0.269, 0.509)
Cr (0.389, 0.251, 0.092)
Cr (0.858, 0.269, 0.009)
O (0.921, 0.901, 0.555)
O (0.579, 0.901, 0.055)
O (0.364, 0.564, 0.648)
O (0.136, 0.564, 0.148)
O (0.864, 0.436, 0.852)
O (0.636, 0.436, 0.352)
O (0.421, 0.099, 0.945)
O (0.079, 0.099, 0.445)
F (0.651, 0.975, 0.771)
F (0.849, 0.975, 0.271)
F (0.872, 0.981, 0.926)
F (0.628, 0.981, 0.426)
F (0.243, 0.803, 0.970)
F (0.257, 0.803, 0.470)
F (0.045, 0.746, 0.915)
F (0.530, 0.736, 0.771)
F (0.455, 0.746, 0.415)
F (0.970, 0.736, 0.271)
F (0.710, 0.690, 0.962)
F (0.790, 0.690, 0.462)
F (0.089, 0.547, 0.528)
F (0.411, 0.547, 0.028)
F (0.160, 0.518, 0.831)
F (0.660, 0.482, 0.669)
F (0.340, 0.518, 0.331)
F (0.840, 0.482, 0.169)
F (0.589, 0.453, 0.972)
F (0.911, 0.453, 0.472)
F (0.210, 0.310, 0.538)
F (0.290, 0.310, 0.038)
F (0.030, 0.264, 0.729)
F (0.545, 0.254, 0.585)
F (0.470, 0.264, 0.229)
F (0.955, 0.254, 0.085)
F (0.743, 0.197, 0.530)
F (0.757, 0.197, 0.030)
F (0.372, 0.019, 0.574)
F (0.128, 0.019, 0.074)
F (0.151, 0.025, 0.729)
F (0.349, 0.025, 0.229)